[1]
## Li5FeP3O11 (PBE+U)

Data for a relaxed Li5FeP3O11 crystal.

Output
space-group type = P-1 (2)

```
40
Lattice="5.3650 0.0000 0.0000 0.6835 8.4982 0.0000 0.2176 0.9554 9.5699" Properties=species:S:1:pos:R:3 pbc="T T T"
Li 0.0935 0.3565 3.2931
Li 1.5310 6.0039 7.8418
Li 1.5277 3.8327 6.3902
Li 1.9925 5.8460 1.4996
Li 2.0959 3.5911 3.2987
Li 4.1702 5.8625 6.2712
Li 4.2736 3.6076 8.0703
Li 4.7384 5.6209 3.1797
Li 4.7351 3.4497 1.7281
Li 6.1726 9.0971 6.2768
Fe 0.0000 0.0000 0.0000
Fe 2.7913 0.4777 4.7850
P 1.4587 2.8005 0.2252
P 2.1066 6.4406 4.6383
P 2.5673 0.5474 1.7838
P 3.6988 8.9063 7.7862
P 4.1595 3.0131 4.9316
P 4.8074 6.6532 9.3447
O 0.8382 7.3242 9.3966
O 1.4515 7.8457 4.8487
O 1.3778 5.6106 3.5465
O 1.4336 3.8201 1.3758
O 1.5767 0.9161 7.7864
O 2.1344 8.0367 1.4901
O 2.1369 5.6921 6.0050
O 2.1813 4.2489 8.4441
O 2.1664 1.3160 3.0659
O 2.6831 2.6977 5.3580
O 2.5583 1.6738 0.6196
O 3.7078 7.7798 8.9503
O 3.5830 6.7559 4.2119
O 4.0997 8.1377 6.5040
O 4.0848 5.2047 1.1258
O 4.1292 3.7616 3.5649
O 4.1317 1.4170 8.0798
O 4.6893 8.5376 1.7835
O 4.8325 5.6336 8.1941
O 4.8883 3.8430 6.0234
O 4.8146 1.6080 4.7212
O 5.4279 2.1295 0.1733
```

[2]
## Li2FeP2O7 (PBE+U)

Data for a relaxed Li2FeP2O7 crystal.

Output
energy above the lowest structure with this stoichiometry = 0 meV/atom
space-group type = P1 (1)

```
48
Lattice="5.1087 0.0000 0.0000 -2.3892 10.7534 0.0000 -2.3925 -2.3469 10.4966" Properties=species:S:1:pos:R:3 pbc="T T T"
Li 0.0000 0.0000 0.0000
Li -2.3913 4.2030 5.2509
Li -0.5051 -0.2002 4.0195
Li -2.8954 3.9999 9.2666
Li 2.1820 2.2509 0.3682
Li -0.2060 6.4564 5.6178
Li 1.6766 -0.3329 6.2986
Li 1.6816 6.2139 1.0479
Fe -2.3966 0.2881 9.0120
Fe -2.3953 6.8366 3.7629
Fe 1.6830 1.6887 4.0491
Fe -0.7066 5.8947 9.2985
P -0.8564 2.1995 1.9684
P -3.2472 6.4025 7.2187
P -0.9622 1.4731 6.3289
P -0.9577 8.0230 1.0785
P 0.2495 4.5671 3.4779
P -2.1428 8.7715 8.7268
P 0.1441 2.4279 8.9690
P 0.1453 8.9792 3.7196
O -1.8386 2.3332 5.4213
O -1.8355 8.8824 0.1716
O -1.7464 0.3749 7.0478
O -1.7414 6.9239 1.7975
O -0.0149 1.2067 2.7677
O -2.4054 5.4090 8.0163
O -0.3129 3.7044 2.2214
O -2.7013 7.9063 7.4678
O -0.9662 -1.3892 9.4808
O -0.9610 5.1629 4.2333
O 0.2478 0.8648 5.5844
O 0.2562 7.4183 0.3339
O -0.4014 2.5120 7.4465
O -0.3996 9.0624 2.1973
O -0.6981 1.4327 9.7639
O -0.6974 7.9848 4.5158
O 1.0320 3.6238 4.3927
O -1.3581 7.8318 9.6433
O 1.1220 -0.9087 8.0853
O 1.1283 5.6398 2.8380
O 2.3902 -0.3345 4.2483
O -0.0002 3.8656 9.5004
O 2.7541 2.1603 2.2961
O 0.3625 6.3636 7.5477
O 1.6426 2.0992 8.9359
O 1.6438 8.6491 3.6874
O 2.0042 6.1964 5.6990
O 4.3996 1.9971 0.4489
```

no.,formation energy from the elements (eV/atom),total magnetization (μB/f.u.)
1,-2.6020,4.00
2,-2.5709,0.00